1.
CsB5O8: relaxed, PBE.

Values from the calculation:
ρ = 2.6 g cm⁻³
energy above the most stable polymorph in this dataset = 1 meV per atom
DFT formation energy = -2834 meV per atom
E (MP2020) = -113.5 eV per formula unit

Lattice parameters (Å, degrees): 8.5858 21.5348 8.8208 90.00 90.00 90.00
Last column: nearest neighbours and their distance in Å.
Space group Pbca (No. 61)
Inequivalent atoms, fractional coordinates:
Cs: 0.0334 0.1186 0.1428 [8 per cell]  8 O 3.03-3.26
B: 0.0720 0.6986 0.9865 [8 per cell]  3 O 1.36-1.40
B: 0.1315 0.1194 0.5527 [8 per cell]  4 O 1.47-1.50
B: 0.1878 0.0439 0.7579 [8 per cell]  3 O 1.35-1.40
B: 0.1903 0.2316 0.5458 [8 per cell]  3 O 1.35-1.41
B: 0.2466 0.0152 0.5019 [8 per cell]  3 O 1.35-1.40
O: 0.0267 0.6384 0.9974 [8 per cell]  2 B 1.36-1.49
O: 0.0308 0.2442 0.5647 [8 per cell]  2 B 1.40-1.41
O: 0.1289 0.0988 0.7118 [8 per cell]  2 B 1.35-1.47
O: 0.1839 0.0291 0.9106 [8 per cell]  2 B 1.38
O: 0.1873 0.0694 0.4501 [8 per cell]  2 B 1.35-1.49
O: 0.2191 0.7153 0.0361 [8 per cell]  2 B 1.38-1.39
O: 0.2423 0.1728 0.5340 [8 per cell]  2 B 1.35-1.50
O: 0.2497 0.0008 0.6561 [8 per cell]  2 B 1.40

2.
Cs2B18O27: relaxed, PBE.

Values from the calculation:
ρ = 2.4 g cm⁻³
DFT formation energy = -2769 meV per atom
E (MP2020) = -385.8 eV per formula unit

Lattice parameters (Å, degrees): 12.2086 12.9316 15.3922 90.00 90.00 90.00
Last column: nearest neighbours and their distance in Å.
Space group C222_1 (No. 20)
Inequivalent atoms, fractional coordinates:
Cs: 0.2447 0.2394 0.1178 [8 per cell]  9 O 3.15-3.50
B: 0.0000 0.3596 0.7500 [4 per cell]  4 O 1.48
B: 0.0142 0.4097 0.4830 [8 per cell]  3 O 1.35-1.40
B: 0.0384 0.1208 0.2982 [8 per cell]  2 O 1.38-1.40
B: 0.0677 0.2163 0.8481 [8 per cell]  3 O 1.33-1.41
B: 0.0848 0.2323 0.4204 [8 per cell]  3 O 1.36-1.40
B: 0.0978 0.4739 0.2582 [8 per cell]  3 O 1.34-1.40
B: 0.1004 0.0643 0.9352 [8 per cell]  3 O 1.37-1.39
B: 0.1650 0.5000 0.0000 [4 per cell]  4 O 1.49
B: 0.1899 0.0749 0.3956 [8 per cell]  3 O 1.33-1.43
B: 0.2184 0.1000 0.8146 [8 per cell]  3 O 1.34-1.40
O: 0.0000 0.4189 0.2500 [4 per cell]  2 B 1.40
O: 0.0022 0.2953 0.8293 [8 per cell]  2 B 1.33-1.48
O: 0.0134 0.2030 0.3539 [8 per cell]  2 B 1.40
O: 0.0453 0.1555 0.9220 [8 per cell]  2 B 1.37-1.41
O: 0.0657 0.0000 0.0000 [4 per cell]  2 B 1.37
O: 0.0726 0.5000 0.5000 [4 per cell]  2 B 1.39
O: 0.0790 0.3241 0.4628 [8 per cell]  2 B 1.36-1.40
O: 0.0962 0.4055 0.0117 [8 per cell]  2 B 1.35-1.49
O: 0.1003 0.4227 0.7422 [8 per cell]  2 B 1.34-1.48
O: 0.1244 0.0565 0.3204 [8 per cell]  2 B 1.38-1.43
O: 0.1567 0.1873 0.7968 [8 per cell]  2 B 1.38-1.40
O: 0.1716 0.1677 0.4405 [8 per cell]  2 B 1.38-1.40
O: 0.1861 0.0343 0.8818 [8 per cell]  2 B 1.39-1.40
O: 0.1900 0.4122 0.2673 [8 per cell]  2 B 1.34-1.39
O: 0.2356 0.4941 0.9210 [8 per cell]  1 B 1.33

3.
CsB5O8: relaxed, PBE.

Values from the calculation:
ρ = 2.8 g cm⁻³
energy above the most stable polymorph in this dataset = 5 meV per atom
DFT formation energy = -2830 meV per atom
E (MP2020) = -113.5 eV per formula unit

Lattice parameters (Å, degrees): 7.1797 10.0246 11.6682 90.00 116.85 90.00
Last column: nearest neighbours and their distance in Å.
Space group P2_1/c (No. 14)
Inequivalent atoms, fractional coordinates:
Cs: 0.1971 0.0070 0.2771 [4 per cell]  8 O 3.07-3.36
B: 0.0284 0.7494 0.0122 [4 per cell]  3 O 1.36-1.40
B: 0.2296 0.0951 0.6328 [4 per cell]  3 O 1.36-1.40
B: 0.3367 0.2239 0.0294 [4 per cell]  4 O 1.48-1.51
B: 0.3519 0.6922 0.5022 [4 per cell]  3 O 1.36-1.40
B: 0.3687 0.5876 0.3204 [4 per cell]  3 O 1.36-1.40
O: 0.0289 0.1508 0.5823 [4 per cell]  2 B 1.40
O: 0.1113 0.1986 0.9512 [4 per cell]  2 B 1.36-1.48
O: 0.2347 0.7093 0.5685 [4 per cell]  2 B 1.38-1.39
O: 0.2501 0.6349 0.3799 [4 per cell]  2 B 1.40
O: 0.2608 0.5119 0.2124 [4 per cell]  2 B 1.37
O: 0.3721 0.1437 0.5971 [4 per cell]  2 B 1.36-1.51
O: 0.4255 0.1180 0.1297 [4 per cell]  2 B 1.36-1.49
O: 0.4434 0.2272 0.9467 [4 per cell]  2 B 1.36-1.48

4.
CsB5O8: relaxed, PBE.

Values from the calculation:
ρ = 3.1 g cm⁻³
energy above the most stable polymorph in this dataset = 17 meV per atom
DFT formation energy = -2818 meV per atom
E (MP2020) = -113.3 eV per formula unit

Lattice parameters (Å, degrees): 8.1335 9.7083 8.4486 90.00 90.00 90.00
Last column: nearest neighbours and their distance in Å.
Space group Pnma (No. 62)
Inequivalent atoms, fractional coordinates:
Cs: 0.0393 0.2500 0.2100 [4 per cell]  9 O 3.17-3.53
B: 0.0873 0.7500 0.3817 [4 per cell]  4 O 1.45-1.52
B: 0.2269 0.1373 0.6518 [8 per cell]  4 O 1.42-1.55
B: 0.2445 0.5288 0.4152 [8 per cell]  3 O 1.37-1.38
O: 0.0969 0.2500 0.6228 [4 per cell]  3 B 1.50-1.54
O: 0.1381 0.6277 0.4679 [8 per cell]  2 B 1.37-1.45
O: 0.1534 0.7500 0.2130 [4 per cell]  3 B 1.52-1.55
O: 0.1849 0.0358 0.7665 [8 per cell]  2 B 1.38-1.42
O: 0.2130 0.5842 0.0040 [8 per cell]  2 B 1.37-1.44

Repeat the third record exactly.
CsB5O8: relaxed, PBE.

Values from the calculation:
ρ = 2.8 g cm⁻³
energy above the most stable polymorph in this dataset = 5 meV per atom
DFT formation energy = -2830 meV per atom
E (MP2020) = -113.5 eV per formula unit

Lattice parameters (Å, degrees): 7.1797 10.0246 11.6682 90.00 116.85 90.00
Last column: nearest neighbours and their distance in Å.
Space group P2_1/c (No. 14)
Inequivalent atoms, fractional coordinates:
Cs: 0.1971 0.0070 0.2771 [4 per cell]  8 O 3.07-3.36
B: 0.0284 0.7494 0.0122 [4 per cell]  3 O 1.36-1.40
B: 0.2296 0.0951 0.6328 [4 per cell]  3 O 1.36-1.40
B: 0.3367 0.2239 0.0294 [4 per cell]  4 O 1.48-1.51
B: 0.3519 0.6922 0.5022 [4 per cell]  3 O 1.36-1.40
B: 0.3687 0.5876 0.3204 [4 per cell]  3 O 1.36-1.40
O: 0.0289 0.1508 0.5823 [4 per cell]  2 B 1.40
O: 0.1113 0.1986 0.9512 [4 per cell]  2 B 1.36-1.48
O: 0.2347 0.7093 0.5685 [4 per cell]  2 B 1.38-1.39
O: 0.2501 0.6349 0.3799 [4 per cell]  2 B 1.40
O: 0.2608 0.5119 0.2124 [4 per cell]  2 B 1.37
O: 0.3721 0.1437 0.5971 [4 per cell]  2 B 1.36-1.51
O: 0.4255 0.1180 0.1297 [4 per cell]  2 B 1.36-1.49
O: 0.4434 0.2272 0.9467 [4 per cell]  2 B 1.36-1.48